Record 1
A plane-wave DFT calculation with PBE-GGA was carried out for crystalline Al3NiMo12 at its relaxed geometry.

```
Al3NiMo12
1.0
4.966 0.000 0.000
0.000 4.967 0.000
0.000 0.000 9.952
Al Ni Mo
3 1 12
Direct
0.000 0.000 0.000 Al
0.500 0.500 0.251 Al
0.500 0.500 0.749 Al
0.000 0.000 0.500 Ni
0.000 0.250 0.252 Mo
0.000 0.250 0.748 Mo
0.000 0.750 0.252 Mo
0.000 0.750 0.748 Mo
0.248 0.500 0.000 Mo
0.250 0.500 0.500 Mo
0.500 0.000 0.124 Mo
0.500 0.000 0.377 Mo
0.500 0.000 0.623 Mo
0.500 0.000 0.876 Mo
0.750 0.500 0.500 Mo
0.752 0.500 0.000 Mo
```

Values from the calculation:
- Energy relative to the elements: -3.61 kcal/mol of atoms

***

Record 2
A plane-wave DFT calculation with PBE-GGA was carried out for crystalline AlMo12S24 at its relaxed geometry.

```
AlMo12S24
1.0
6.838 0.000 0.000
-3.419 5.922 0.000
0.000 0.000 16.859
Al Mo S
1 12 24
Direct
0.000 0.000 0.000 Al
0.000 0.000 0.392 Mo
0.050 0.525 0.863 Mo
0.144 0.288 0.536 Mo
0.144 0.856 0.536 Mo
0.333 0.667 0.724 Mo
0.385 0.192 0.206 Mo
0.475 0.525 0.863 Mo
0.475 0.950 0.863 Mo
0.667 0.333 0.064 Mo
0.712 0.856 0.536 Mo
0.808 0.192 0.206 Mo
0.808 0.615 0.206 Mo
0.000 0.000 0.134 S
0.000 0.000 0.635 S
0.019 0.510 0.125 S
0.023 0.512 0.621 S
0.152 0.304 0.784 S
0.152 0.848 0.784 S
0.154 0.307 0.287 S
0.154 0.846 0.287 S
0.333 0.667 0.467 S
0.333 0.667 0.961 S
0.357 0.179 0.455 S
0.358 0.179 0.954 S
0.488 0.512 0.621 S
0.488 0.977 0.621 S
0.490 0.510 0.125 S
0.490 0.981 0.125 S
0.667 0.333 0.305 S
0.667 0.333 0.802 S
0.693 0.846 0.287 S
0.696 0.848 0.784 S
0.821 0.179 0.455 S
0.821 0.179 0.954 S
0.821 0.642 0.954 S
0.821 0.643 0.455 S
```

Values from the calculation:
- Energy relative to the elements: -23.16 kcal/mol of atoms
- Offset from the most stable computed form: 0.0025 eV per atom

***

Record 3
A plane-wave DFT calculation with PBE-GGA was carried out for crystalline AlMo12S24 at its relaxed geometry.

```
AlMo12S24
1.0
5.911 -3.446 0.000
5.911 3.446 0.000
-0.098 0.000 16.836
Al Mo S
1 12 24
Direct
0.000 0.000 0.000 Al
0.050 0.473 0.862 Mo
0.140 0.140 0.536 Mo
0.145 0.712 0.536 Mo
0.333 0.333 0.724 Mo
0.384 0.813 0.206 Mo
0.473 0.050 0.862 Mo
0.473 0.473 0.861 Mo
0.667 0.667 0.065 Mo
0.712 0.145 0.536 Mo
0.802 0.802 0.205 Mo
0.813 0.384 0.206 Mo
0.998 0.998 0.393 Mo
0.022 0.485 0.621 S
0.025 0.484 0.123 S
0.148 0.692 0.289 S
0.151 0.693 0.785 S
0.152 0.152 0.784 S
0.155 0.155 0.289 S
0.332 0.332 0.468 S
0.333 0.333 0.961 S
0.355 0.821 0.455 S
0.358 0.820 0.954 S
0.484 0.025 0.123 S
0.485 0.022 0.621 S
0.489 0.489 0.621 S
0.491 0.491 0.126 S
0.662 0.662 0.306 S
0.665 0.665 0.800 S
0.692 0.148 0.289 S
0.693 0.151 0.785 S
0.819 0.819 0.954 S
0.820 0.358 0.954 S
0.821 0.355 0.455 S
0.821 0.821 0.456 S
0.997 0.997 0.135 S
0.997 0.997 0.635 S
```

Values from the calculation:
- Energy relative to the elements: -23.22 kcal/mol of atoms
- Offset from the most stable computed form: 0.0000 eV per atom